This record from the Materials Project database describes MgTa2O6 after structural relaxation. The functional is GGA-PBE.

The space group is Pmn2_1 (No. 31) and the conventional cell measures 7.609, 5.511 and 5.230 Å, with angles of 90.00, 90.00 and 90.00 degrees. Symmetry generates all atoms from Mg at (0.000, 0.179, 0.000), Ta at (0.248, 0.739, 0.985), O at (0.000, 0.274, 0.613), O at (0.000, 0.791, 0.891), O at (0.185, 0.431, 0.151) and O at (0.199, 0.970, 0.257).

As for the energy relative to the elements: -3.270 eV/atom. As for the piezoelectric modulus e_max: 5.39 C/m2. The MP2020-corrected energy is -168.9 eV/cell.